{
  "formula": "K2FeCuC6N6",
  "functional": "PBE",
  "state": "relaxed",
  "lattice_angstrom": [[6.963, 0.000, 0.000], [-0.102, 7.026, 0.000], [-3.327, -3.511, 5.475]],
  "species": ["K", "K", "Fe", "Cu", "C", "C", "C", "C", "C", "C", "N", "N", "N", "N", "N", "N"],
  "frac_coords": [[0.229, 0.222, 0.469], [0.771, 0.778, 0.531], [0.500, 0.000, 0.000], [0.000, 0.500, 0.000], [0.282, 0.774, 0.928], [0.311, 0.187, 0.006], [0.373, 0.879, 0.663], [0.627, 0.121, 0.337], [0.689, 0.813, 0.994], [0.718, 0.226, 0.072], [0.144, 0.629, 0.880], [0.192, 0.304, 0.007], [0.297, 0.808, 0.453], [0.703, 0.192, 0.547], [0.808, 0.696, 0.993], [0.856, 0.371, 0.120]],
  "relative_energy_mev_per_atom": 0,
  "spacegroup": "No. 2",
  "ef_ev_per_atom": -0.121,
  "volume_a3_per_cell": 268
}

{
  "formula": "MgB2H6O7",
  "functional": "PBE",
  "state": "relaxed",
  "lattice_angstrom": [[7.692, 0.000, 0.000], [0.000, 7.692, 0.000], [0.000, 0.000, 8.224]],
  "species": ["Mg", "Mg", "Mg", "Mg", "B", "B", "B", "B", "B", "B", "B", "B", "H", "H", "H", "H", "H", "H", "H", "H", "H", "H", "H", "H", "H", "H", "H", "H", "H", "H", "H", "H", "H", "H", "H", "H", "O", "O", "O", "O", "O", "O", "O", "O", "O", "O", "O", "O", "O", "O", "O", "O", "O", "O", "O", "O", "O", "O", "O", "O", "O", "O", "O", "O"],
  "frac_coords": [[0.000, 0.000, 0.000], [0.000, 0.500, 0.500], [0.500, 0.000, 0.500], [0.500, 0.500, 0.000], [0.128, 0.864, 0.356], [0.136, 0.628, 0.856], [0.364, 0.872, 0.856], [0.372, 0.636, 0.356], [0.628, 0.364, 0.644], [0.636, 0.128, 0.144], [0.864, 0.372, 0.144], [0.872, 0.136, 0.644], [0.053, 0.385, 0.794], [0.110, 0.354, 0.064], [0.113, 0.789, 0.597], [0.115, 0.053, 0.706], [0.146, 0.110, 0.436], [0.211, 0.613, 0.097], [0.289, 0.887, 0.097], [0.354, 0.390, 0.436], [0.385, 0.447, 0.706], [0.387, 0.711, 0.597], [0.390, 0.146, 0.064], [0.447, 0.115, 0.794], [0.553, 0.885, 0.206], [0.610, 0.854, 0.936], [0.613, 0.289, 0.403], [0.615, 0.553, 0.294], [0.646, 0.610, 0.564], [0.711, 0.113, 0.903], [0.789, 0.387, 0.903], [0.854, 0.890, 0.564], [0.885, 0.947, 0.294], [0.887, 0.211, 0.403], [0.890, 0.646, 0.936], [0.947, 0.615, 0.206], [0.012, 0.275, 0.084], [0.014, 0.091, 0.759], [0.042, 0.770, 0.498], [0.091, 0.486, 0.741], [0.225, 0.012, 0.416], [0.230, 0.542, 0.998], [0.250, 0.750, 0.267], [0.250, 0.750, 0.767], [0.270, 0.958, 0.998], [0.275, 0.488, 0.416], [0.409, 0.014, 0.741], [0.458, 0.730, 0.498], [0.486, 0.409, 0.759], [0.488, 0.225, 0.084], [0.512, 0.775, 0.916], [0.514, 0.591, 0.241], [0.542, 0.270, 0.502], [0.591, 0.986, 0.259], [0.725, 0.512, 0.584], [0.730, 0.042, 0.002], [0.750, 0.250, 0.233], [0.750, 0.250, 0.733], [0.770, 0.458, 0.002], [0.775, 0.988, 0.584], [0.909, 0.514, 0.259], [0.958, 0.230, 0.502], [0.986, 0.909, 0.241], [0.988, 0.725, 0.916]],
  "spacegroup": "No. 86",
  "ef_ev_per_atom": -1.999,
  "volume_a3_per_cell": 487
}

{
  "formula": "LiSn2P3O12",
  "functional": "PBE",
  "state": "relaxed",
  "lattice_angstrom": [[8.874, 0.000, 0.000], [0.000, 8.766, 0.000], [0.000, 0.000, 12.224]],
  "species": ["Li", "Li", "Li", "Li", "Sn", "Sn", "Sn", "Sn", "Sn", "Sn", "Sn", "Sn", "P", "P", "P", "P", "P", "P", "P", "P", "P", "P", "P", "P", "O", "O", "O", "O", "O", "O", "O", "O", "O", "O", "O", "O", "O", "O", "O", "O", "O", "O", "O", "O", "O", "O", "O", "O", "O", "O", "O", "O", "O", "O", "O", "O", "O", "O", "O", "O", "O", "O", "O", "O", "O", "O", "O", "O", "O", "O", "O", "O"],
  "frac_coords": [[0.229, 0.034, 0.000], [0.271, 0.534, 0.500], [0.729, 0.466, 0.000], [0.771, 0.966, 0.500], [0.035, 0.998, 0.205], [0.052, 0.504, 0.943], [0.448, 0.004, 0.443], [0.465, 0.498, 0.705], [0.535, 0.502, 0.205], [0.552, 0.996, 0.943], [0.948, 0.496, 0.443], [0.965, 0.002, 0.705], [0.103, 0.358, 0.675], [0.103, 0.851, 0.470], [0.246, 0.294, 0.322], [0.254, 0.794, 0.822], [0.397, 0.351, 0.970], [0.397, 0.858, 0.175], [0.603, 0.142, 0.675], [0.603, 0.649, 0.470], [0.746, 0.206, 0.322], [0.754, 0.706, 0.822], [0.897, 0.149, 0.970], [0.897, 0.642, 0.175], [0.018, 0.565, 0.103], [0.021, 0.075, 0.043], [0.067, 0.896, 0.352], [0.078, 0.399, 0.796], [0.097, 0.675, 0.483], [0.099, 0.183, 0.660], [0.145, 0.196, 0.249], [0.155, 0.403, 0.399], [0.156, 0.701, 0.902], [0.158, 0.894, 0.747], [0.238, 0.400, 0.006], [0.238, 0.917, 0.138], [0.262, 0.417, 0.638], [0.262, 0.900, 0.506], [0.342, 0.394, 0.247], [0.344, 0.201, 0.402], [0.345, 0.903, 0.899], [0.355, 0.696, 0.749], [0.401, 0.683, 0.160], [0.403, 0.175, 0.983], [0.422, 0.899, 0.296], [0.433, 0.396, 0.852], [0.479, 0.575, 0.543], [0.482, 0.065, 0.603], [0.518, 0.935, 0.103], [0.521, 0.425, 0.043], [0.567, 0.604, 0.352], [0.578, 0.101, 0.796], [0.597, 0.825, 0.483], [0.599, 0.317, 0.660], [0.645, 0.304, 0.249], [0.655, 0.097, 0.399], [0.656, 0.799, 0.902], [0.658, 0.606, 0.747], [0.738, 0.100, 0.006], [0.738, 0.583, 0.138], [0.762, 0.083, 0.638], [0.762, 0.600, 0.506], [0.842, 0.106, 0.247], [0.844, 0.299, 0.402], [0.845, 0.597, 0.899], [0.855, 0.804, 0.749], [0.901, 0.817, 0.160], [0.903, 0.325, 0.983], [0.922, 0.601, 0.296], [0.933, 0.104, 0.852], [0.979, 0.925, 0.543], [0.982, 0.435, 0.603]],
  "relative_energy_mev_per_atom": 12,
  "spacegroup": "No. 33",
  "ef_ev_per_atom": -2.517,
  "volume_a3_per_cell": 951
}

{
  "formula": "Na9SmSi4Se12",
  "functional": "PBE",
  "state": "relaxed",
  "lattice_angstrom": [[7.735, -6.111, 0.000], [7.735, 6.111, 0.000], [-1.062, 0.000, 6.991]],
  "species": ["Na", "Na", "Na", "Na", "Na", "Na", "Na", "Na", "Na", "Sm", "Si", "Si", "Si", "Si", "Se", "Se", "Se", "Se", "Se", "Se", "Se", "Se", "Se", "Se", "Se", "Se"],
  "frac_coords": [[0.000, 0.000, 0.000], [0.093, 0.401, 0.248], [0.248, 0.251, 0.749], [0.424, 0.080, 0.253], [0.513, 0.487, 0.500], [0.599, 0.907, 0.752], [0.749, 0.752, 0.251], [0.837, 0.163, 0.500], [0.920, 0.576, 0.747], [0.340, 0.660, 0.000], [0.094, 0.754, 0.478], [0.246, 0.906, 0.522], [0.598, 0.248, 0.968], [0.752, 0.402, 0.032], [0.063, 0.701, 0.150], [0.142, 0.108, 0.389], [0.211, 0.555, 0.626], [0.299, 0.937, 0.850], [0.394, 0.371, 0.107], [0.445, 0.789, 0.374], [0.546, 0.204, 0.647], [0.629, 0.606, 0.893], [0.700, 0.050, 0.116], [0.796, 0.454, 0.353], [0.892, 0.858, 0.611], [0.950, 0.300, 0.884]],
  "spacegroup": "No. 5",
  "ef_ev_per_atom": -1.232,
  "volume_a3_per_cell": 661
}

{
  "formula": "CsRb2AsI6",
  "functional": "PBE",
  "state": "relaxed",
  "lattice_angstrom": [[0.000, 6.473, 6.473], [6.473, 0.000, 6.473], [6.473, 6.473, 0.000]],
  "species": ["Cs", "Rb", "Rb", "As", "I", "I", "I", "I", "I", "I"],
  "frac_coords": [[0.000, 0.000, 0.000], [0.250, 0.250, 0.250], [0.750, 0.750, 0.750], [0.500, 0.500, 0.500], [0.278, 0.278, 0.722], [0.278, 0.722, 0.278], [0.278, 0.722, 0.722], [0.722, 0.278, 0.278], [0.722, 0.278, 0.722], [0.722, 0.722, 0.278]],
  "spacegroup": "No. 225",
  "ef_ev_per_atom": -1.128,
  "volume_a3_per_cell": 542
}

{
  "formula": "YEr3",
  "functional": "PBE",
  "state": "relaxed",
  "lattice_angstrom": [[7.194, 0.000, 0.000], [-3.597, 6.230, 0.000], [0.000, 0.000, 5.613]],
  "species": ["Y", "Y", "Er", "Er", "Er", "Er", "Er", "Er"],
  "frac_coords": [[0.333, 0.667, 0.250], [0.667, 0.333, 0.750], [0.166, 0.331, 0.750], [0.166, 0.834, 0.750], [0.331, 0.166, 0.250], [0.669, 0.834, 0.750], [0.834, 0.166, 0.250], [0.834, 0.669, 0.250]],
  "spacegroup": "No. 194",
  "ef_ev_per_atom": 0.010,
  "volume_a3_per_cell": 252
}

Sequential total DFT energy (no corrections) output: -7.50 -6.07 -6.81 -4.10 -2.57 -5.03 eV/atom